1.
Entry from the Materials Project database: an optimized crystal structure of NaEuTiNbO6F (PBE-GGA).

Cell lengths 7.3697, 7.3697, 10.4568 Å; angles 90.00, 90.00, 90.00 degrees
Fractional coordinates of all 44 atoms:
O1 0.7478 0.2717 0.0707
O2 0.0626 0.9374 0.3750
O3 0.9425 0.5514 0.6317
O4 0.5514 0.0575 0.8817
O5 0.5416 0.4584 0.8750
O6 0.7283 0.7478 0.8207
O7 0.4486 0.0575 0.1183
O8 0.2717 0.7478 0.1793
O9 0.2522 0.2717 0.9293
O10 0.7478 0.7283 0.4293
O11 0.4486 0.9425 0.3817
O12 0.4584 0.4584 0.1250
O13 0.9374 0.0626 0.8750
O14 0.2522 0.7283 0.5707
O15 0.5416 0.5416 0.6250
O16 0.0575 0.5514 0.3683
O17 0.0626 0.0626 0.1250
O18 0.9374 0.9374 0.6250
O19 0.9425 0.4486 0.8683
O20 0.5514 0.9425 0.6183
O21 0.4584 0.5416 0.3750
O22 0.2717 0.2522 0.3207
O23 0.7283 0.2522 0.6793
O24 0.0575 0.4486 0.1317
Ti1 0.2590 0.5000 0.2500
Ti2 0.7410 0.5000 0.7500
Ti3 0.5000 0.7410 0.5000
Ti4 0.5000 0.2590 0.0000
Na1 0.0000 0.2357 0.5000
Na2 0.0000 0.7643 0.0000
Na3 0.2357 0.0000 0.7500
Na4 0.7643 0.0000 0.2500
Eu1 0.7626 0.5000 0.2500
Eu2 0.5000 0.7626 0.0000
Eu3 0.2374 0.5000 0.7500
Eu4 0.5000 0.2374 0.5000
F1 0.2419 0.7581 0.8750
F2 0.7581 0.7581 0.1250
F3 0.7581 0.2419 0.3750
F4 0.2419 0.2419 0.6250
Nb1 0.0000 0.7434 0.5000
Nb2 0.2566 0.0000 0.2500
Nb3 0.7434 0.0000 0.7500
Nb4 0.0000 0.2566 0.0000

Output
Theoretical density, g/cm³: 5.0
Distance to the lowest polymorph of the same formula, meV/atom: 0
SG: No. 95
Formation energy from the elements, meV/atom: -3220
V, Å³/atom: 12.908



2.
Entry from the Materials Project database: an optimized crystal structure of BaCe2ZnS5 (PBE-GGA).

Cell lengths 8.8415, 8.8415, 8.8415 Å; angles 127.14, 127.14, 78.03 degrees
Fractional coordinates of all 18 atoms:
Ce1 0.3408 0.1592 0.5000
Ce2 0.8408 0.3408 0.1816
Ce3 0.6592 0.8408 0.5000
Ce4 0.1592 0.6592 0.8184
S1 0.2841 0.4833 0.5000
S2 0.0000 0.0000 0.0000
S3 0.4833 0.9833 0.1992
S4 0.5167 0.0167 0.8008
S5 0.9833 0.7841 0.5000
S6 0.7159 0.5167 0.5000
S7 0.5000 0.5000 0.0000
S8 0.0167 0.2159 0.5000
S9 0.2159 0.7159 0.1992
S10 0.7841 0.2841 0.8008
Ba1 0.2500 0.2500 0.0000
Ba2 0.7500 0.7500 0.0000
Zn1 0.7500 0.2500 0.5000
Zn2 0.2500 0.7500 0.5000

Output
Theoretical density, g/cm³: 5.0
SG: No. 140
Formation energy from the elements, meV/atom: -2046
V, Å³/atom: 23.646